Entry 1:
{
  "formula": "Pr6Fe13Sn",
  "functional": "GGA-PBE",
  "state": "optimized geometry",
  "energy_ev_per_atom": -7.215,
  "e_form_ev_per_atom": -0.075,
  "spacegroup": "I4/mcm, No. 140",
  "cell": [[-4.038, 4.038, 11.871], [4.038, -4.038, 11.871], [4.038, 4.038, -11.871]],
  "species": ["Pr", "Pr", "Pr", "Pr", "Pr", "Pr", "Pr", "Pr", "Pr", "Pr", "Pr", "Pr", "Fe", "Fe", "Fe", "Fe", "Fe", "Fe", "Fe", "Fe", "Fe", "Fe", "Fe", "Fe", "Fe", "Fe", "Fe", "Fe", "Fe", "Fe", "Fe", "Fe", "Fe", "Fe", "Fe", "Fe", "Fe", "Fe", "Sn", "Sn"],
  "fractional_positions": [[0.604, 0.604, 0.000], [0.104, 0.104, 0.000], [0.396, 0.396, 0.000], [0.896, 0.896, 0.000], [0.478, 0.978, 0.827], [0.152, 0.652, 0.173], [0.978, 0.152, 0.500], [0.652, 0.478, 0.500], [0.522, 0.022, 0.173], [0.848, 0.348, 0.827], [0.022, 0.848, 0.500], [0.348, 0.522, 0.500], [0.500, 0.000, 0.500], [0.000, 0.500, 0.500], [0.567, 0.710, 0.277], [0.433, 0.290, 0.723], [0.067, 0.790, 0.856], [0.933, 0.210, 0.144], [0.290, 0.567, 0.856], [0.710, 0.433, 0.144], [0.210, 0.067, 0.277], [0.790, 0.933, 0.723], [0.621, 0.121, 0.857], [0.264, 0.764, 0.143], [0.121, 0.264, 0.500], [0.764, 0.621, 0.500], [0.379, 0.879, 0.143], [0.736, 0.236, 0.857], [0.879, 0.736, 0.500], [0.236, 0.379, 0.500], [0.795, 0.295, 0.275], [0.020, 0.520, 0.725], [0.295, 0.020, 0.500], [0.520, 0.795, 0.500], [0.205, 0.705, 0.725], [0.980, 0.480, 0.275], [0.705, 0.980, 0.500], [0.480, 0.205, 0.500], [0.250, 0.250, 0.000], [0.750, 0.750, 0.000]]
}

---

Entry 2:
{
  "formula": "Pr6TlFe13",
  "functional": "GGA-PBE",
  "state": "optimized geometry",
  "energy_ev_per_atom": -7.087,
  "e_form_ev_per_atom": -0.029,
  "spacegroup": "I4/mcm, No. 140",
  "cell": [[-4.742, -6.519, -0.373], [3.733, -3.085, 6.455], [-7.376, 10.128, 4.062]],
  "species": ["Pr", "Pr", "Pr", "Pr", "Pr", "Pr", "Pr", "Pr", "Pr", "Pr", "Pr", "Pr", "Tl", "Tl", "Fe", "Fe", "Fe", "Fe", "Fe", "Fe", "Fe", "Fe", "Fe", "Fe", "Fe", "Fe", "Fe", "Fe", "Fe", "Fe", "Fe", "Fe", "Fe", "Fe", "Fe", "Fe", "Fe", "Fe", "Fe", "Fe"],
  "fractional_positions": [[0.981, 0.481, 0.633], [0.652, 0.152, 0.633], [0.152, 0.981, 0.633], [0.481, 0.652, 0.633], [0.019, 0.519, 0.367], [0.348, 0.848, 0.367], [0.848, 0.019, 0.367], [0.519, 0.348, 0.367], [0.604, 0.604, 0.208], [0.104, 0.104, 0.208], [0.396, 0.396, 0.792], [0.896, 0.896, 0.792], [0.250, 0.250, 0.500], [0.750, 0.750, 0.500], [0.000, 0.500, 0.000], [0.500, 0.000, 0.000], [0.710, 0.567, 0.000], [0.290, 0.433, 0.000], [0.790, 0.067, 0.000], [0.210, 0.933, 0.000], [0.567, 0.290, 0.000], [0.433, 0.710, 0.000], [0.067, 0.210, 0.000], [0.933, 0.790, 0.000], [0.120, 0.620, 0.885], [0.764, 0.264, 0.885], [0.264, 0.120, 0.885], [0.620, 0.764, 0.885], [0.880, 0.380, 0.115], [0.236, 0.736, 0.115], [0.736, 0.880, 0.115], [0.380, 0.236, 0.115], [0.295, 0.795, 0.815], [0.521, 0.021, 0.815], [0.021, 0.295, 0.815], [0.795, 0.521, 0.815], [0.705, 0.205, 0.185], [0.479, 0.979, 0.185], [0.979, 0.705, 0.185], [0.205, 0.479, 0.185]]
}

---

Entry 3:
{
  "formula": "Pr6ZnFe13",
  "functional": "GGA-PBE",
  "state": "optimized geometry",
  "energy_ev_per_atom": -7.008,
  "e_form_ev_per_atom": -0.005,
  "spacegroup": "I4/mcm, No. 140",
  "cell": [[8.097, 0.000, 0.000], [0.000, 8.097, 0.000], [-4.049, -4.049, 11.579]],
  "species": ["Pr", "Pr", "Pr", "Pr", "Pr", "Pr", "Pr", "Pr", "Pr", "Pr", "Pr", "Pr", "Zn", "Zn", "Fe", "Fe", "Fe", "Fe", "Fe", "Fe", "Fe", "Fe", "Fe", "Fe", "Fe", "Fe", "Fe", "Fe", "Fe", "Fe", "Fe", "Fe", "Fe", "Fe", "Fe", "Fe", "Fe", "Fe", "Fe", "Fe"],
  "fractional_positions": [[0.976, 0.476, 0.625], [0.649, 0.149, 0.625], [0.149, 0.976, 0.625], [0.476, 0.649, 0.625], [0.024, 0.524, 0.375], [0.351, 0.851, 0.375], [0.851, 0.024, 0.375], [0.524, 0.351, 0.375], [0.607, 0.607, 0.214], [0.107, 0.107, 0.214], [0.393, 0.393, 0.786], [0.893, 0.893, 0.786], [0.250, 0.250, 0.500], [0.750, 0.750, 0.500], [0.119, 0.619, 0.882], [0.762, 0.262, 0.882], [0.262, 0.119, 0.882], [0.619, 0.762, 0.882], [0.881, 0.381, 0.118], [0.238, 0.738, 0.118], [0.738, 0.881, 0.118], [0.381, 0.238, 0.118], [0.710, 0.566, 0.000], [0.290, 0.434, 0.000], [0.790, 0.066, 0.000], [0.210, 0.934, 0.000], [0.566, 0.290, 0.000], [0.434, 0.710, 0.000], [0.066, 0.210, 0.000], [0.934, 0.790, 0.000], [0.292, 0.792, 0.811], [0.519, 0.019, 0.811], [0.019, 0.292, 0.811], [0.792, 0.519, 0.811], [0.708, 0.208, 0.189], [0.481, 0.981, 0.189], [0.981, 0.708, 0.189], [0.208, 0.481, 0.189], [0.000, 0.500, 0.000], [0.500, 0.000, 0.000]]
}

---

Entry 4:
{
  "formula": "FePt3",
  "functional": "GGA-PBE",
  "state": "optimized geometry",
  "energy_ev_per_atom": -6.845,
  "e_form_ev_per_atom": -0.174,
  "spacegroup": "Pm-3m, No. 221",
  "cell": [[-2.399, -3.024, 0.274], [2.848, -2.120, 1.538], [-1.052, 1.155, 3.540]],
  "species": ["Fe", "Pt", "Pt", "Pt"],
  "fractional_positions": [[0.000, 0.000, 0.000], [0.000, 0.500, 0.500], [0.500, 0.500, 0.000], [0.500, 0.000, 0.500]]
}

---

Entry 5:
{
  "formula": "Fe2Pt",
  "functional": "GGA-PBE",
  "state": "optimized geometry",
  "energy_ev_per_atom": -7.563,
  "e_form_ev_per_atom": 0.107,
  "spacegroup": "P-3m1, No. 164",
  "cell": [[1.432, 1.552, -1.547], [-2.111, -1.216, -0.959], [-3.563, 4.906, 1.623]],
  "species": ["Fe", "Fe", "Pt"],
  "fractional_positions": [[0.333, 0.667, 0.645], [0.667, 0.333, 0.355], [0.000, 0.000, 0.000]]
}

---

Entry 6:
{
  "formula": "Fe2PtRh",
  "functional": "GGA-PBE",
  "state": "optimized geometry",
  "energy_ev_per_atom": -7.653,
  "e_form_ev_per_atom": -0.060,
  "spacegroup": "P4/mmm, No. 123",
  "cell": [[-2.642, 0.031, -0.099], [-0.002, -2.540, -0.735], [-0.286, -2.035, 7.031]],
  "species": ["Fe", "Fe", "Pt", "Rh"],
  "fractional_positions": [[0.500, 0.500, 0.744], [0.500, 0.500, 0.256], [0.000, 0.000, 0.000], [0.000, 0.000, 0.500]]
}

---

Entry 7:
{
  "formula": "FeSbPt",
  "functional": "GGA-PBE",
  "state": "optimized geometry",
  "energy_ev_per_atom": -5.833,
  "e_form_ev_per_atom": 0.391,
  "spacegroup": "P2_13, No. 198",
  "cell": [[-1.708, -0.236, 5.892], [4.922, -3.435, 1.289], [3.247, 5.083, 1.145]],
  "species": ["Fe", "Fe", "Fe", "Fe", "Sb", "Sb", "Sb", "Sb", "Pt", "Pt", "Pt", "Pt"],
  "fractional_positions": [[0.622, 0.378, 0.878], [0.378, 0.878, 0.622], [0.122, 0.122, 0.122], [0.878, 0.622, 0.378], [0.113, 0.387, 0.613], [0.613, 0.113, 0.387], [0.387, 0.613, 0.113], [0.887, 0.887, 0.887], [0.467, 0.033, 0.967], [0.967, 0.467, 0.033], [0.033, 0.967, 0.467], [0.533, 0.533, 0.533]]
}

---

Entry 8:
{
  "formula": "FeSbPt",
  "functional": "GGA-PBE",
  "state": "optimized geometry",
  "energy_ev_per_atom": -6.240,
  "e_form_ev_per_atom": -0.016,
  "spacegroup": "F-43m, No. 216",
  "cell": [[0.622, 4.188, -0.215], [3.554, 1.529, -1.733], [-0.149, 1.975, -3.748]],
  "species": ["Fe", "Sb", "Pt"],
  "fractional_positions": [[0.500, 0.500, 0.500], [0.250, 0.250, 0.250], [0.750, 0.750, 0.750]]
}

---

Entry 9:
{
  "formula": "FeSbPt",
  "functional": "GGA-PBE",
  "state": "optimized geometry",
  "energy_ev_per_atom": -6.242,
  "e_form_ev_per_atom": -0.018,
  "spacegroup": "P2_13, No. 198",
  "cell": [[-4.527, 2.039, -3.361], [-0.004, -5.129, -3.105], [-3.931, -2.342, 3.874]],
  "species": ["Fe", "Fe", "Fe", "Fe", "Sb", "Sb", "Sb", "Sb", "Pt", "Pt", "Pt", "Pt"],
  "fractional_positions": [[0.005, 0.505, 0.995], [0.505, 0.995, 0.005], [0.995, 0.005, 0.505], [0.495, 0.495, 0.495], [0.754, 0.254, 0.246], [0.254, 0.246, 0.754], [0.246, 0.754, 0.254], [0.746, 0.746, 0.746], [0.253, 0.753, 0.747], [0.753, 0.747, 0.253], [0.747, 0.253, 0.753], [0.247, 0.247, 0.247]]
}

---

Entry 10:
{
  "formula": "FeSbPt",
  "functional": "GGA-PBE",
  "state": "optimized geometry",
  "energy_ev_per_atom": -6.068,
  "e_form_ev_per_atom": 0.155,
  "spacegroup": "R3, No. 146",
  "cell": [[-5.914, 1.480, -1.293], [-1.961, -5.503, 2.169], [-0.757, 2.399, 5.702]],
  "species": ["Fe", "Fe", "Fe", "Fe", "Sb", "Sb", "Sb", "Sb", "Pt", "Pt", "Pt", "Pt"],
  "fractional_positions": [[0.384, 0.384, 0.384], [0.621, 0.875, 0.123], [0.875, 0.123, 0.621], [0.123, 0.621, 0.875], [0.876, 0.375, 0.127], [0.375, 0.127, 0.876], [0.613, 0.613, 0.613], [0.127, 0.876, 0.375], [0.521, 0.028, 0.477], [0.028, 0.477, 0.521], [0.979, 0.979, 0.979], [0.477, 0.521, 0.028]]
}

---

Entry 11:
{
  "formula": "Pu6Fe",
  "functional": "GGA-PBE",
  "state": "optimized geometry",
  "energy_ev_per_atom": -13.355,
  "e_form_ev_per_atom": 0.085,
  "spacegroup": "I4/mcm, No. 140",
  "cell": [[0.978, -2.119, -5.185], [-3.309, 4.319, -5.507], [6.480, 2.905, -3.083]],
  "species": ["Pu", "Pu", "Pu", "Pu", "Pu", "Pu", "Pu", "Pu", "Pu", "Pu", "Pu", "Pu", "Fe", "Fe"],
  "fractional_positions": [[0.902, 0.697, 0.500], [0.098, 0.303, 0.500], [0.598, 0.500, 0.303], [0.402, 0.500, 0.697], [0.090, 0.689, 0.130], [0.910, 0.311, 0.870], [0.410, 0.870, 0.311], [0.590, 0.130, 0.689], [0.221, 0.870, 0.689], [0.779, 0.130, 0.311], [0.721, 0.689, 0.870], [0.279, 0.311, 0.130], [0.250, 0.000, 0.000], [0.750, 0.000, 0.000]]
}

---

Entry 12:
{
  "formula": "Rb9Fe2S7",
  "functional": "GGA-PBE",
  "state": "optimized geometry",
  "energy_ev_per_atom": -3.835,
  "e_form_ev_per_atom": -0.990,
  "spacegroup": "P2_13, No. 198",
  "corrected_energy_ev_per_atom": -4.030,
  "cell": [[13.271, 0.000, 0.000], [0.000, 13.271, 0.000], [0.000, 0.000, 13.271]],
  "species": ["Rb", "Rb", "Rb", "Rb", "Rb", "Rb", "Rb", "Rb", "Rb", "Rb", "Rb", "Rb", "Rb", "Rb", "Rb", "Rb", "Rb", "Rb", "Rb", "Rb", "Rb", "Rb", "Rb", "Rb", "Rb", "Rb", "Rb", "Rb", "Rb", "Rb", "Rb", "Rb", "Rb", "Rb", "Rb", "Rb", "Fe", "Fe", "Fe", "Fe", "Fe", "Fe", "Fe", "Fe", "S", "S", "S", "S", "S", "S", "S", "S", "S", "S", "S", "S", "S", "S", "S", "S", "S", "S", "S", "S", "S", "S", "S", "S", "S", "S", "S", "S"],
  "fractional_positions": [[0.957, 0.290, 0.324], [0.558, 0.442, 0.942], [0.442, 0.942, 0.558], [0.058, 0.058, 0.058], [0.764, 0.736, 0.264], [0.736, 0.264, 0.764], [0.264, 0.764, 0.736], [0.236, 0.236, 0.236], [0.586, 0.914, 0.086], [0.914, 0.086, 0.586], [0.086, 0.586, 0.914], [0.414, 0.414, 0.414], [0.324, 0.957, 0.290], [0.824, 0.543, 0.710], [0.676, 0.457, 0.210], [0.543, 0.710, 0.824], [0.210, 0.676, 0.457], [0.710, 0.824, 0.543], [0.942, 0.558, 0.442], [0.290, 0.324, 0.957], [0.457, 0.210, 0.676], [0.043, 0.790, 0.176], [0.790, 0.176, 0.043], [0.176, 0.043, 0.790], [0.666, 0.999, 0.798], [0.166, 0.501, 0.202], [0.334, 0.499, 0.702], [0.501, 0.202, 0.166], [0.702, 0.334, 0.499], [0.202, 0.166, 0.501], [0.999, 0.798, 0.666], [0.798, 0.666, 0.999], [0.499, 0.702, 0.334], [0.001, 0.298, 0.834], [0.298, 0.834, 0.001], [0.834, 0.001, 0.298], [0.099, 0.401, 0.599], [0.401, 0.599, 0.099], [0.599, 0.099, 0.401], [0.901, 0.901, 0.901], [0.428, 0.072, 0.928], [0.072, 0.928, 0.428], [0.928, 0.428, 0.072], [0.572, 0.572, 0.572], [0.202, 0.298, 0.702], [0.298, 0.702, 0.202], [0.702, 0.202, 0.298], [0.798, 0.798, 0.798], [0.421, 0.948, 0.813], [0.921, 0.552, 0.187], [0.579, 0.448, 0.687], [0.552, 0.187, 0.921], [0.687, 0.579, 0.448], [0.187, 0.921, 0.552], [0.948, 0.813, 0.421], [0.813, 0.421, 0.948], [0.448, 0.687, 0.579], [0.052, 0.313, 0.079], [0.313, 0.079, 0.052], [0.079, 0.052, 0.313], [0.589, 0.937, 0.337], [0.089, 0.563, 0.663], [0.911, 0.063, 0.837], [0.563, 0.663, 0.089], [0.163, 0.411, 0.437], [0.663, 0.089, 0.563], [0.937, 0.337, 0.589], [0.337, 0.589, 0.937], [0.437, 0.163, 0.411], [0.063, 0.837, 0.911], [0.837, 0.911, 0.063], [0.411, 0.437, 0.163]]
}

---

Entry 13:
{
  "formula": "Rb4Fe2S5",
  "functional": "GGA-PBE",
  "state": "optimized geometry",
  "energy_ev_per_atom": -4.623,
  "e_form_ev_per_atom": -1.075,
  "spacegroup": "P-1, No. 2",
  "corrected_energy_ev_per_atom": -4.852,
  "cell": [[7.656, 0.000, 0.000], [1.392, 8.377, 0.000], [1.180, 1.978, 10.219]],
  "species": ["Rb", "Rb", "Rb", "Rb", "Rb", "Rb", "Rb", "Rb", "Fe", "Fe", "Fe", "Fe", "S", "S", "S", "S", "S", "S", "S", "S", "S", "S"],
  "fractional_positions": [[0.940, 0.893, 0.244], [0.060, 0.107, 0.756], [0.578, 0.168, 0.914], [0.422, 0.832, 0.086], [0.410, 0.786, 0.491], [0.590, 0.214, 0.509], [0.205, 0.576, 0.870], [0.795, 0.424, 0.130], [0.729, 0.763, 0.780], [0.271, 0.237, 0.220], [0.909, 0.583, 0.594], [0.091, 0.417, 0.406], [0.843, 0.804, 0.955], [0.157, 0.196, 0.045], [0.455, 0.900, 0.761], [0.545, 0.100, 0.239], [0.907, 0.842, 0.598], [0.093, 0.158, 0.402], [0.739, 0.496, 0.772], [0.261, 0.504, 0.228], [0.809, 0.543, 0.413], [0.191, 0.457, 0.587]]
}

---

Entry 14:
{
  "formula": "Rb3Fe2S4",
  "functional": "GGA-PBE",
  "state": "optimized geometry",
  "energy_ev_per_atom": -4.861,
  "e_form_ev_per_atom": -1.037,
  "spacegroup": "Pnma, No. 62",
  "corrected_energy_ev_per_atom": -5.085,
  "cell": [[7.494, 0.000, 0.000], [0.000, 10.946, 0.000], [0.000, 0.000, 12.186]],
  "species": ["Rb", "Rb", "Rb", "Rb", "Rb", "Rb", "Rb", "Rb", "Rb", "Rb", "Rb", "Rb", "Fe", "Fe", "Fe", "Fe", "Fe", "Fe", "Fe", "Fe", "S", "S", "S", "S", "S", "S", "S", "S", "S", "S", "S", "S", "S", "S", "S", "S"],
  "fractional_positions": [[0.067, 0.427, 0.139], [0.567, 0.073, 0.361], [0.933, 0.927, 0.861], [0.433, 0.573, 0.639], [0.933, 0.573, 0.861], [0.433, 0.927, 0.639], [0.067, 0.073, 0.139], [0.567, 0.427, 0.361], [0.091, 0.250, 0.771], [0.591, 0.250, 0.729], [0.909, 0.750, 0.229], [0.409, 0.750, 0.271], [0.049, 0.370, 0.473], [0.549, 0.130, 0.027], [0.951, 0.870, 0.527], [0.451, 0.630, 0.973], [0.951, 0.630, 0.527], [0.451, 0.870, 0.973], [0.049, 0.130, 0.473], [0.549, 0.370, 0.027], [0.141, 0.550, 0.396], [0.641, 0.950, 0.104], [0.859, 0.050, 0.604], [0.359, 0.450, 0.896], [0.859, 0.450, 0.604], [0.359, 0.050, 0.896], [0.141, 0.950, 0.396], [0.641, 0.550, 0.104], [0.283, 0.250, 0.532], [0.783, 0.250, 0.968], [0.717, 0.750, 0.468], [0.217, 0.750, 0.032], [0.417, 0.250, 0.155], [0.917, 0.250, 0.345], [0.583, 0.750, 0.845], [0.083, 0.750, 0.655]]
}